Entry 1:
# BaP3

Crystalline BaP3 at its relaxed geometry (r2SCAN, Materials Project).

Cell lengths 6.588, 7.826, 8.229 Å; angles 90.00, 105.00, 90.00 degrees
Sites, in units of the cell vectors:
Ba (0.188, 0.111, 0.303)
Ba (0.188, 0.389, 0.803)
Ba (0.812, 0.611, 0.197)
Ba (0.812, 0.889, 0.697)
P (0.201, 0.729, 0.543)
P (0.201, 0.771, 0.043)
P (0.312, 0.543, 0.188)
P (0.312, 0.957, 0.688)
P (0.462, 0.631, 0.446)
P (0.462, 0.869, 0.946)
P (0.538, 0.131, 0.054)
P (0.538, 0.369, 0.554)
P (0.688, 0.043, 0.312)
P (0.688, 0.457, 0.812)
P (0.799, 0.229, 0.957)
P (0.799, 0.271, 0.457)

Output
Calculated formation energy = -3.1 eV/f.u.

***

Entry 2:
# ZnSe

Crystalline ZnSe at its relaxed geometry (r2SCAN, Materials Project).

Cell lengths 3.997, 3.997, 6.570 Å; angles 90.00, 90.00, 120.00 degrees
Sites, in units of the cell vectors:
Zn (0.333, 0.667, 0.000)
Zn (0.667, 0.333, 0.500)
Se (0.333, 0.667, 0.374)
Se (0.667, 0.333, 0.874)

Output
Calculated formation energy = -1.7 eV/f.u.

***

Entry 3:
# WSeS

Crystalline WSeS at its relaxed geometry (r2SCAN, Materials Project).

Cell lengths 3.248, 3.248, 22.773 Å; angles 90.00, 90.00, 120.00 degrees
Sites, in units of the cell vectors:
W (0.000, 0.000, 0.000)
W (0.333, 0.667, 0.301)
Se (0.000, 0.000, 0.227)
Se (0.000, 0.000, 0.375)
S (0.333, 0.667, 0.068)
S (0.333, 0.667, 0.932)

Output
Calculated formation energy = -2.2 eV/f.u.

***

Entry 4:
# NdCu

Crystalline NdCu at its relaxed geometry (r2SCAN, Materials Project).

Cell lengths 7.427, 4.567, 5.489 Å; angles 90.00, 90.00, 90.00 degrees
Sites, in units of the cell vectors:
Nd (0.179, 0.250, 0.115)
Nd (0.321, 0.750, 0.615)
Nd (0.679, 0.250, 0.385)
Nd (0.821, 0.750, 0.885)
Cu (0.033, 0.250, 0.610)
Cu (0.467, 0.750, 0.110)
Cu (0.533, 0.250, 0.890)
Cu (0.967, 0.750, 0.390)

Output
Calculated formation energy = -0.4 eV/f.u.

***

Entry 5:
# Bi

Crystalline Bi at its relaxed geometry (r2SCAN, Materials Project).

Cell lengths 3.432, 3.432, 3.432 Å; angles 109.47, 109.47, 109.47 degrees
Sites, in units of the cell vectors:
Bi (0.000, 0.000, 0.000)

Output
Calculated formation energy = 0.2 eV/f.u.

***

Entry 6:
# GdInIr

Crystalline GdInIr at its relaxed geometry (r2SCAN, Materials Project).

Cell lengths 7.485, 7.485, 4.010 Å; angles 90.00, 90.00, 120.00 degrees
Sites, in units of the cell vectors:
Gd (0.000, 0.592, 0.000)
Gd (0.408, 0.408, 0.000)
Gd (0.592, 0.000, 0.000)
In (0.000, 0.254, 0.500)
In (0.254, 0.000, 0.500)
In (0.746, 0.746, 0.500)
Ir (0.000, 0.000, 0.000)
Ir (0.333, 0.667, 0.500)
Ir (0.667, 0.333, 0.500)

Output
Calculated formation energy = -2.3 eV/f.u.

***

Entry 7:
# HoCdAu2

Crystalline HoCdAu2 at its relaxed geometry (r2SCAN, Materials Project).

Cell lengths 4.876, 4.876, 4.876 Å; angles 60.00, 60.00, 60.00 degrees
Sites, in units of the cell vectors:
Ho (0.000, 0.000, 0.000)
Cd (0.500, 0.500, 0.500)
Au (0.250, 0.250, 0.250)
Au (0.750, 0.750, 0.750)

Output
Calculated formation energy = -2.9 eV/f.u.

***

Entry 8:
# K2Hg3Se4

Crystalline K2Hg3Se4 at its relaxed geometry (r2SCAN, Materials Project).

Cell lengths 11.002, 6.924, 14.199 Å; angles 90.00, 90.00, 90.00 degrees
Sites, in units of the cell vectors:
K (0.119, 0.231, 0.001)
K (0.119, 0.769, 0.501)
K (0.381, 0.269, 0.501)
K (0.381, 0.731, 0.001)
K (0.619, 0.269, 0.999)
K (0.619, 0.731, 0.499)
K (0.881, 0.231, 0.499)
K (0.881, 0.769, 0.999)
Hg (0.000, 0.410, 0.750)
Hg (0.000, 0.590, 0.250)
Hg (0.157, 0.091, 0.258)
Hg (0.157, 0.909, 0.758)
Hg (0.343, 0.409, 0.758)
Hg (0.343, 0.591, 0.258)
Hg (0.500, 0.090, 0.250)
Hg (0.500, 0.910, 0.750)
Hg (0.657, 0.409, 0.742)
Hg (0.657, 0.591, 0.242)
Hg (0.843, 0.091, 0.242)
Hg (0.843, 0.909, 0.742)
Se (0.128, 0.367, 0.371)
Se (0.128, 0.633, 0.871)
Se (0.134, 0.170, 0.638)
Se (0.134, 0.830, 0.138)
Se (0.366, 0.330, 0.138)
Se (0.366, 0.670, 0.638)
Se (0.372, 0.133, 0.871)
Se (0.372, 0.867, 0.371)
Se (0.628, 0.133, 0.629)
Se (0.628, 0.867, 0.129)
Se (0.634, 0.330, 0.362)
Se (0.634, 0.670, 0.862)
Se (0.866, 0.170, 0.862)
Se (0.866, 0.830, 0.362)
Se (0.872, 0.367, 0.129)
Se (0.872, 0.633, 0.629)

Output
Calculated formation energy = -6.3 eV/f.u.

***

Entry 9:
# Li3FeF6

Crystalline Li3FeF6 at its relaxed geometry (r2SCAN, Materials Project).

Cell lengths 5.892, 5.892, 5.892 Å; angles 91.18, 91.18, 91.18 degrees
Sites, in units of the cell vectors:
Li (0.057, 0.562, 0.746)
Li (0.254, 0.943, 0.438)
Li (0.438, 0.254, 0.943)
Li (0.562, 0.746, 0.057)
Li (0.746, 0.057, 0.562)
Li (0.943, 0.438, 0.254)
Fe (0.000, 0.000, 0.000)
Fe (0.500, 0.500, 0.500)
F (0.051, 0.896, 0.693)
F (0.104, 0.307, 0.949)
F (0.193, 0.576, 0.415)
F (0.307, 0.949, 0.104)
F (0.415, 0.193, 0.576)
F (0.424, 0.585, 0.807)
F (0.576, 0.415, 0.193)
F (0.585, 0.807, 0.424)
F (0.693, 0.051, 0.896)
F (0.807, 0.424, 0.585)
F (0.896, 0.693, 0.051)
F (0.949, 0.104, 0.307)

Output
Calculated formation energy = -29.4 eV/f.u.

***

Entry 10:
# UCoNiGe2

Crystalline UCoNiGe2 at its relaxed geometry (r2SCAN, Materials Project).

Cell lengths 5.777, 5.777, 5.777 Å; angles 139.52, 139.52, 58.58 degrees
Sites, in units of the cell vectors:
U (0.000, 0.000, 0.000)
Co (0.250, 0.750, 0.500)
Ni (0.750, 0.250, 0.500)
Ge (0.372, 0.372, 0.000)
Ge (0.628, 0.628, 0.000)

Output
Calculated formation energy = -2.2 eV/f.u.

***

Entry 11:
# Ni11As8

Crystalline Ni11As8 at its relaxed geometry (r2SCAN, Materials Project).

Cell lengths 6.816, 6.816, 21.813 Å; angles 90.00, 90.00, 90.00 degrees
Sites, in units of the cell vectors:
Ni (0.064, 0.122, 0.328)
Ni (0.071, 0.627, 0.328)
Ni (0.122, 0.064, 0.672)
Ni (0.122, 0.122, 0.000)
Ni (0.122, 0.691, 0.672)
Ni (0.123, 0.627, 0.982)
Ni (0.127, 0.377, 0.732)
Ni (0.127, 0.429, 0.078)
Ni (0.127, 0.818, 0.078)
Ni (0.182, 0.873, 0.422)
Ni (0.191, 0.378, 0.422)
Ni (0.309, 0.878, 0.828)
Ni (0.318, 0.373, 0.828)
Ni (0.373, 0.318, 0.172)
Ni (0.373, 0.877, 0.518)
Ni (0.373, 0.929, 0.172)
Ni (0.377, 0.127, 0.268)
Ni (0.378, 0.191, 0.578)
Ni (0.378, 0.564, 0.578)
Ni (0.378, 0.622, 0.250)
Ni (0.429, 0.127, 0.922)
Ni (0.436, 0.622, 0.922)
Ni (0.564, 0.378, 0.422)
Ni (0.571, 0.873, 0.422)
Ni (0.622, 0.378, 0.750)
Ni (0.622, 0.436, 0.078)
Ni (0.622, 0.809, 0.078)
Ni (0.623, 0.873, 0.768)
Ni (0.627, 0.071, 0.672)
Ni (0.627, 0.123, 0.018)
Ni (0.627, 0.682, 0.672)
Ni (0.682, 0.627, 0.328)
Ni (0.691, 0.122, 0.328)
Ni (0.809, 0.622, 0.922)
Ni (0.818, 0.127, 0.922)
Ni (0.873, 0.182, 0.578)
Ni (0.873, 0.571, 0.578)
Ni (0.873, 0.623, 0.232)
Ni (0.877, 0.373, 0.482)
Ni (0.878, 0.309, 0.172)
Ni (0.878, 0.878, 0.500)
Ni (0.878, 0.936, 0.172)
Ni (0.929, 0.373, 0.828)
Ni (0.936, 0.878, 0.828)
As (0.122, 0.370, 0.250)
As (0.122, 0.878, 0.250)
As (0.123, 0.626, 0.875)
As (0.124, 0.124, 0.121)
As (0.124, 0.124, 0.879)
As (0.126, 0.377, 0.625)
As (0.130, 0.622, 0.500)
As (0.131, 0.131, 0.500)
As (0.369, 0.631, 0.750)
As (0.370, 0.122, 0.750)
As (0.374, 0.877, 0.625)
As (0.376, 0.624, 0.129)
As (0.376, 0.624, 0.371)
As (0.377, 0.126, 0.375)
As (0.378, 0.378, 0.000)
As (0.378, 0.870, 0.000)
As (0.622, 0.130, 0.500)
As (0.622, 0.622, 0.500)
As (0.623, 0.874, 0.875)
As (0.624, 0.376, 0.629)
As (0.624, 0.376, 0.871)
As (0.626, 0.123, 0.125)
As (0.630, 0.878, 0.250)
As (0.631, 0.369, 0.250)
As (0.869, 0.869, 0.000)
As (0.870, 0.378, 0.000)
As (0.874, 0.623, 0.125)
As (0.876, 0.876, 0.379)
As (0.876, 0.876, 0.621)
As (0.877, 0.374, 0.375)
As (0.878, 0.122, 0.750)
As (0.878, 0.630, 0.750)

Output
Calculated formation energy = -5.9 eV/f.u.

***

Entry 12:
# SrCuF4

Crystalline SrCuF4 at its relaxed geometry (r2SCAN, Materials Project).

Cell lengths 6.636, 6.636, 6.636 Å; angles 129.47, 129.47, 74.25 degrees
Sites, in units of the cell vectors:
Sr (0.250, 0.250, 0.000)
Sr (0.750, 0.750, 0.000)
Cu (0.000, 0.500, 0.500)
Cu (0.500, 0.000, 0.500)
F (0.046, 0.546, 0.840)
F (0.206, 0.046, 0.500)
F (0.294, 0.794, 0.840)
F (0.454, 0.294, 0.500)
F (0.546, 0.706, 0.500)
F (0.706, 0.206, 0.160)
F (0.794, 0.954, 0.500)
F (0.954, 0.454, 0.160)

Output
Calculated formation energy = -18.2 eV/f.u.

***

Entry 13:
# Sr2P6Rh7

Crystalline Sr2P6Rh7 at its relaxed geometry (r2SCAN, Materials Project).

Cell lengths 11.121, 11.121, 4.104 Å; angles 90.00, 90.00, 90.00 degrees
Sites, in units of the cell vectors:
Sr (0.161, 0.339, 0.249)
Sr (0.339, 0.839, 0.751)
Sr (0.661, 0.161, 0.751)
Sr (0.839, 0.661, 0.249)
P (0.073, 0.573, 0.764)
P (0.111, 0.858, 0.274)
P (0.142, 0.111, 0.726)
P (0.358, 0.611, 0.274)
P (0.389, 0.358, 0.726)
P (0.427, 0.073, 0.236)
P (0.573, 0.927, 0.236)
P (0.611, 0.642, 0.726)
P (0.642, 0.389, 0.274)
P (0.858, 0.889, 0.726)
P (0.889, 0.142, 0.274)
P (0.927, 0.427, 0.764)
Rh (0.000, 0.000, 0.000)
Rh (0.037, 0.777, 0.753)
Rh (0.153, 0.653, 0.262)
Rh (0.223, 0.037, 0.247)
Rh (0.277, 0.537, 0.753)
Rh (0.347, 0.153, 0.738)
Rh (0.463, 0.277, 0.247)
Rh (0.500, 0.500, 0.000)
Rh (0.537, 0.723, 0.247)
Rh (0.653, 0.847, 0.738)
Rh (0.723, 0.463, 0.753)
Rh (0.777, 0.963, 0.247)
Rh (0.847, 0.347, 0.262)
Rh (0.963, 0.223, 0.753)

Output
Calculated formation energy = -14.8 eV/f.u.

***

Entry 14:
# RbSn3

Crystalline RbSn3 at its relaxed geometry (r2SCAN, Materials Project).

Cell lengths 7.884, 7.884, 5.460 Å; angles 90.00, 90.00, 120.00 degrees
Sites, in units of the cell vectors:
Rb (0.333, 0.667, 0.250)
Rb (0.667, 0.333, 0.750)
Sn (0.128, 0.256, 0.750)
Sn (0.128, 0.872, 0.750)
Sn (0.256, 0.128, 0.250)
Sn (0.744, 0.872, 0.750)
Sn (0.872, 0.128, 0.250)
Sn (0.872, 0.744, 0.250)

Output
Calculated formation energy = -0.5 eV/f.u.

***

Entry 15:
# YbMnSb2

Crystalline YbMnSb2 at its relaxed geometry (r2SCAN, Materials Project).

Cell lengths 10.954, 10.954, 10.954 Å; angles 157.71, 157.71, 31.73 degrees
Sites, in units of the cell vectors:
Yb (0.116, 0.116, 0.000)
Yb (0.884, 0.884, 0.000)
Mn (0.250, 0.750, 0.500)
Mn (0.750, 0.250, 0.500)
Sb (0.000, 0.500, 0.500)
Sb (0.338, 0.338, 0.000)
Sb (0.500, 0.000, 0.500)
Sb (0.662, 0.662, 0.000)

Output
Calculated formation energy = -2.7 eV/f.u.

***

Entry 16:
# Li2CuF5

Crystalline Li2CuF5 at its relaxed geometry (r2SCAN, Materials Project).

Cell lengths 4.912, 5.461, 7.163 Å; angles 108.95, 93.00, 115.51 degrees
Sites, in units of the cell vectors:
Li (0.125, 0.268, 0.247)
Li (0.147, 0.263, 0.722)
Li (0.853, 0.737, 0.278)
Li (0.875, 0.732, 0.753)
Cu (0.500, 0.000, 0.000)
Cu (0.500, 0.000, 0.500)
F (0.097, 0.827, 0.546)
F (0.175, 0.641, 0.860)
F (0.262, 0.160, 0.955)
F (0.303, 0.000, 0.263)
F (0.468, 0.633, 0.349)
F (0.532, 0.367, 0.651)
F (0.697, 0.000, 0.737)
F (0.738, 0.840, 0.045)
F (0.825, 0.359, 0.140)
F (0.903, 0.173, 0.454)

Output
Calculated formation energy = -19.4 eV/f.u.

***

Entry 17:
# Ba2SrI6

Crystalline Ba2SrI6 at its relaxed geometry (r2SCAN, Materials Project).

Cell lengths 7.856, 9.152, 13.748 Å; angles 90.00, 123.58, 90.00 degrees
Sites, in units of the cell vectors:
Ba (0.211, 0.112, 0.253)
Ba (0.211, 0.388, 0.753)
Ba (0.789, 0.612, 0.247)
Ba (0.789, 0.888, 0.747)
Sr (0.500, 0.000, 0.000)
Sr (0.500, 0.500, 0.500)
I (0.090, 0.176, 0.933)
I (0.090, 0.324, 0.433)
I (0.275, 0.683, 0.940)
I (0.275, 0.817, 0.440)
I (0.369, 0.040, 0.734)
I (0.369, 0.460, 0.234)
I (0.631, 0.540, 0.766)
I (0.631, 0.960, 0.266)
I (0.725, 0.183, 0.560)
I (0.725, 0.317, 0.060)
I (0.910, 0.676, 0.567)
I (0.910, 0.824, 0.067)

Output
Calculated formation energy = -17.9 eV/f.u.

***

Entry 18:
# NdGdHg2

Crystalline NdGdHg2 at its relaxed geometry (r2SCAN, Materials Project).

Cell lengths 5.343, 5.343, 5.343 Å; angles 60.00, 60.00, 60.00 degrees
Sites, in units of the cell vectors:
Nd (0.000, 0.000, 0.000)
Gd (0.500, 0.500, 0.500)
Hg (0.250, 0.250, 0.250)
Hg (0.750, 0.750, 0.750)

Output
Calculated formation energy = -2.2 eV/f.u.